[1]
Below is a geometry-optimized SmUTe6 structure, with properties calculated at the meta-GGA r2SCAN level.

Computed properties:
Calculated total energy in eV for the cell shown: -540.0

CIF file:
```
data_SmUTe6
_chemical_formula_sum 'Sm2 U2 Te12'
_cell_length_a 4.387
_cell_length_b 4.384
_cell_length_c 26.302
_cell_angle_alpha 90.00
_cell_angle_beta 90.00
_cell_angle_gamma 90.00
_symmetry_space_group_name_H-M 'A m m 2'
_symmetry_Int_Tables_number 38
loop_
_symmetry_equiv_pos_as_xyz
'x,y,z'
'-x,-y,z'
'-x,y,z'
'x,-y,z'
'x,y+1/2,z+1/2'
'-x,-y+1/2,z+1/2'
'-x,y+1/2,z+1/2'
'x,-y+1/2,z+1/2'
loop_
_atom_site_label
_atom_site_type_symbol
_atom_site_fract_x
_atom_site_fract_y
_atom_site_fract_z
_atom_site_occupancy
Sm1 Sm 0.000 0.000 0.000 1
U1 U 0.500 0.000 0.661 1
Te1 Te 0.000 0.000 0.125 1
Te2 Te 0.000 0.000 0.405 1
Te3 Te 0.000 0.000 0.755 1
Te4 Te 0.500 0.000 0.255 1
Te5 Te 0.500 0.000 0.537 1
Te6 Te 0.500 0.000 0.904 1
```

[2]
Below is a geometry-optimized SmTh3 structure, with properties calculated at the meta-GGA r2SCAN level.

Computed properties:
Calculated total energy in eV for the cell shown: -249.9

CIF file:
```
data_SmTh3
_chemical_formula_sum 'Sm1 Th3'
_cell_length_a 5.066
_cell_length_b 5.066
_cell_length_c 5.066
_cell_angle_alpha 90.00
_cell_angle_beta 90.00
_cell_angle_gamma 90.00
_symmetry_space_group_name_H-M 'P m -3 m'
_symmetry_Int_Tables_number 221
_symmetry_space_group_name_Hall '-P 4 2 3'
loop_
_atom_site_label
_atom_site_type_symbol
_atom_site_fract_x
_atom_site_fract_y
_atom_site_fract_z
_atom_site_occupancy
Sm1 Sm 0.000 0.000 0.000 1
Th1 Th 0.000 0.500 0.500 1
```

Computed ΔE_f (eV per formula unit) in order:
-7.8 0.2
Computed V (A^3/atom) in order:
31.616 32.508
Computed calculated density (g/cm³) in order:
7.576 10.810